Here is an optimized crystal structure of Ca4CrN4 from Materials Project. Energies are from GGA-PBE.

Cell and atoms, written as POSCAR:
```
Ca4CrN4
1.0
5.9050 0.0094 -0.0181
2.2096 5.6089 -0.0579
1.6006 2.3396 8.3135
Ca N Cr
8 8 2
Cartesian
4.4433 6.8234 5.0474
6.1738 3.5983 1.3774
5.2719 1.1345 3.1900
3.4088 3.8975 3.5213
6.3064 4.0604 4.7161
3.5414 4.3597 6.8600
3.3460 4.4501 0.1554
6.3692 3.5079 8.0821
4.5032 2.4117 5.3813
1.4696 2.5313 3.2112
3.9142 2.4923 1.6096
5.8010 5.4656 6.6278
1.1638 1.1856 0.6881
8.5514 6.7723 7.5494
5.2120 5.5463 2.8561
8.2456 5.4267 5.0262
2.4067 1.4327 2.0288
7.3085 6.5252 6.2087
```

Summary:
Total moment ... 2.00 μB per formula unit
Excess energy over the best structure of this formula in the dataset ... 29 meV per atom
Crystal system ... triclinic